Entry from Materials Project: NiSnF6 after structural relaxation (r²SCAN).

a b c (Å): 5.471 5.471 5.471
angles (deg): 55.08 55.08 55.08
Atoms (fractional coordinates):
Ni (0.000, 0.000, 0.000)
Sn (0.500, 0.500, 0.500)
F (0.114, 0.387, 0.751)
F (0.249, 0.886, 0.613)
F (0.387, 0.751, 0.114)
F (0.613, 0.249, 0.886)
F (0.751, 0.114, 0.387)
F (0.886, 0.613, 0.249)

Values from the calculation:
ΔE_f (eV/f.u.): -20.14

***

Entry from Materials Project: SrNiF6 after structural relaxation (r²SCAN).

a b c (Å): 4.656 4.656 4.656
angles (deg): 99.44 99.44 99.44
Atoms (fractional coordinates):
Sr (0.000, 0.000, 0.000)
Ni (0.500, 0.500, 0.500)
F (0.222, 0.222, 0.568)
F (0.222, 0.568, 0.222)
F (0.432, 0.778, 0.778)
F (0.568, 0.222, 0.222)
F (0.778, 0.432, 0.778)
F (0.778, 0.778, 0.432)

Values from the calculation:
ΔE_f (eV/f.u.): -21.62

***

Entry from Materials Project: Tl2NiF4 after structural relaxation (r²SCAN).

a b c (Å): 7.511 7.511 7.511
angles (deg): 148.71 148.71 44.84
Atoms (fractional coordinates):
Tl (0.150, 0.150, 0.000)
Tl (0.850, 0.850, 0.000)
Ni (0.500, 0.500, 0.000)
F (0.000, 0.500, 0.500)
F (0.357, 0.357, 0.000)
F (0.500, 0.000, 0.500)
F (0.643, 0.643, 0.000)

Values from the calculation:
ΔE_f (eV/f.u.): -14.41

***

Entry from Materials Project: ZrNiF6 after structural relaxation (r²SCAN).

a b c (Å): 5.651 5.651 5.651
angles (deg): 60.00 60.00 60.00
Atoms (fractional coordinates):
Zr (0.000, 0.000, 0.000)
Ni (0.500, 0.500, 0.500)
F (0.252, 0.252, 0.748)
F (0.252, 0.748, 0.252)
F (0.252, 0.748, 0.748)
F (0.748, 0.252, 0.252)
F (0.748, 0.252, 0.748)
F (0.748, 0.748, 0.252)

Values from the calculation:
ΔE_f (eV/f.u.): -26.64

***

Entry from Materials Project: NpF5 after structural relaxation (r²SCAN).

a b c (Å): 5.050 5.050 5.050
angles (deg): 101.14 101.14 127.85
Atoms (fractional coordinates):
Np (0.000, 0.000, 0.000)
F (0.110, 0.707, 0.817)
F (0.293, 0.110, 0.403)
F (0.500, 0.500, 0.000)
F (0.707, 0.890, 0.597)
F (0.890, 0.293, 0.183)

Values from the calculation:
ΔE_f (eV/f.u.): -21.07

***

Entry from Materials Project: NpF4 after structural relaxation (r²SCAN).

a b c (Å): 8.306 8.322 8.326
angles (deg): 81.11 62.87 62.93
Atoms (fractional coordinates):
Np (0.167, 0.135, 0.278)
Np (0.251, 0.284, 0.715)
Np (0.333, 0.721, 0.866)
Np (0.667, 0.279, 0.134)
Np (0.749, 0.716, 0.285)
Np (0.833, 0.865, 0.722)
F (0.000, 0.000, 0.500)
F (0.044, 0.563, 0.676)
F (0.072, 0.689, 0.100)
F (0.108, 0.816, 0.757)
F (0.150, 0.224, 0.530)
F (0.212, 0.242, 0.000)
F (0.250, 0.897, 0.104)
F (0.287, 0.000, 0.759)
F (0.351, 0.468, 0.777)
F (0.393, 0.242, 0.182)
F (0.428, 0.903, 0.314)
F (0.453, 0.328, 0.436)
F (0.500, 0.500, 0.000)
F (0.547, 0.672, 0.564)
F (0.572, 0.097, 0.686)
F (0.607, 0.758, 0.818)
F (0.649, 0.532, 0.223)
F (0.713, 0.000, 0.241)
F (0.750, 0.103, 0.896)
F (0.788, 0.758, 0.000)
F (0.850, 0.776, 0.470)
F (0.892, 0.184, 0.243)
F (0.928, 0.311, 0.900)
F (0.956, 0.437, 0.324)

Values from the calculation:
ΔE_f (eV/f.u.): -20.05

***

Entry from Materials Project: NpO2F2 after structural relaxation (r²SCAN).

a b c (Å): 5.818 5.818 5.818
angles (deg): 42.15 42.15 42.15
Atoms (fractional coordinates):
Np (0.000, 0.000, 0.000)
O (0.111, 0.111, 0.111)
O (0.889, 0.889, 0.889)
F (0.334, 0.334, 0.334)
F (0.666, 0.666, 0.666)

Values from the calculation:
ΔE_f (eV/f.u.): -16.34

***

Entry from Materials Project: OF2 after structural relaxation (r²SCAN).

a b c (Å): 9.581 3.150 5.411
angles (deg): 90.00 90.00 90.00
Atoms (fractional coordinates):
O (0.120, 0.250, 0.081)
O (0.380, 0.750, 0.581)
O (0.620, 0.250, 0.419)
O (0.880, 0.750, 0.919)
F (0.047, 0.250, 0.309)
F (0.238, 0.750, 0.652)
F (0.262, 0.250, 0.152)
F (0.453, 0.750, 0.809)
F (0.547, 0.250, 0.191)
F (0.738, 0.750, 0.848)
F (0.762, 0.250, 0.348)
F (0.953, 0.750, 0.691)

Values from the calculation:
ΔE_f (eV/f.u.): 0.18

***

Entry from Materials Project: OsOF5 after structural relaxation (r²SCAN).

a b c (Å): 9.242 8.529 4.912
angles (deg): 90.00 90.00 90.00
Atoms (fractional coordinates):
Os (0.115, 0.250, 0.058)
Os (0.385, 0.750, 0.558)
Os (0.615, 0.250, 0.442)
Os (0.885, 0.750, 0.942)
O (0.006, 0.250, 0.785)
O (0.494, 0.750, 0.285)
O (0.506, 0.250, 0.715)
O (0.994, 0.750, 0.215)
F (0.012, 0.095, 0.245)
F (0.012, 0.405, 0.245)
F (0.233, 0.250, 0.375)
F (0.242, 0.097, 0.932)
F (0.242, 0.403, 0.932)
F (0.258, 0.597, 0.432)
F (0.258, 0.903, 0.432)
F (0.267, 0.750, 0.875)
F (0.488, 0.595, 0.745)
F (0.488, 0.905, 0.745)
F (0.512, 0.095, 0.255)
F (0.512, 0.405, 0.255)
F (0.733, 0.250, 0.125)
F (0.742, 0.097, 0.568)
F (0.742, 0.403, 0.568)
F (0.758, 0.597, 0.068)
F (0.758, 0.903, 0.068)
F (0.767, 0.750, 0.625)
F (0.988, 0.595, 0.755)
F (0.988, 0.905, 0.755)

Values from the calculation:
ΔE_f (eV/f.u.): -11.53

***

Entry from Materials Project: OsOF4 after structural relaxation (r²SCAN).

a b c (Å): 5.378 12.568 5.591
angles (deg): 90.00 117.70 90.00
Atoms (fractional coordinates):
Os (0.113, 0.145, 0.328)
Os (0.113, 0.355, 0.828)
Os (0.887, 0.645, 0.172)
Os (0.887, 0.855, 0.672)
O (0.231, 0.622, 0.318)
O (0.231, 0.878, 0.818)
O (0.769, 0.122, 0.182)
O (0.769, 0.378, 0.682)
F (0.048, 0.210, 0.962)
F (0.048, 0.290, 0.462)
F (0.234, 0.086, 0.671)
F (0.234, 0.414, 0.171)
F (0.242, 0.022, 0.234)
F (0.242, 0.478, 0.734)
F (0.466, 0.206, 0.433)
F (0.466, 0.294, 0.933)
F (0.534, 0.706, 0.067)
F (0.534, 0.794, 0.567)
F (0.758, 0.522, 0.266)
F (0.758, 0.978, 0.766)
F (0.766, 0.586, 0.829)
F (0.766, 0.914, 0.329)
F (0.952, 0.710, 0.538)
F (0.952, 0.790, 0.038)

Values from the calculation:
ΔE_f (eV/f.u.): -9.67

***

Entry from Materials Project: OsO3F2 after structural relaxation (r²SCAN).

a b c (Å): 5.432 4.948 12.112
angles (deg): 90.00 99.08 90.00
Atoms (fractional coordinates):
Os (0.197, 0.215, 0.365)
Os (0.197, 0.285, 0.865)
Os (0.803, 0.715, 0.135)
Os (0.803, 0.785, 0.635)
O (0.247, 0.100, 0.985)
O (0.247, 0.400, 0.485)
O (0.336, 0.585, 0.905)
O (0.336, 0.915, 0.405)
O (0.399, 0.146, 0.788)
O (0.399, 0.354, 0.288)
O (0.601, 0.646, 0.712)
O (0.601, 0.854, 0.212)
O (0.664, 0.085, 0.595)
O (0.664, 0.415, 0.095)
O (0.753, 0.600, 0.515)
O (0.753, 0.900, 0.015)
F (0.045, 0.033, 0.210)
F (0.045, 0.467, 0.710)
F (0.128, 0.606, 0.113)
F (0.128, 0.894, 0.613)
F (0.872, 0.106, 0.387)
F (0.872, 0.394, 0.887)
F (0.955, 0.533, 0.290)
F (0.955, 0.967, 0.790)

Values from the calculation:
ΔE_f (eV/f.u.): -7.45

***

Entry from Materials Project: Os2O3F7 after structural relaxation (r²SCAN).

a b c (Å): 5.464 9.946 12.190
angles (deg): 90.00 99.28 90.00
Atoms (fractional coordinates):
Os (0.010, 0.247, 0.001)
Os (0.010, 0.253, 0.501)
Os (0.351, 0.512, 0.220)
Os (0.351, 0.988, 0.720)
Os (0.649, 0.012, 0.280)
Os (0.649, 0.488, 0.780)
Os (0.990, 0.747, 0.499)
Os (0.990, 0.753, 0.999)
O (0.408, 0.074, 0.841)
O (0.408, 0.426, 0.341)
O (0.461, 0.565, 0.859)
O (0.461, 0.935, 0.359)
O (0.489, 0.662, 0.250)
O (0.489, 0.838, 0.750)
O (0.511, 0.162, 0.250)
O (0.511, 0.338, 0.750)
O (0.539, 0.065, 0.641)
O (0.539, 0.435, 0.141)
O (0.592, 0.574, 0.659)
O (0.592, 0.926, 0.159)
F (0.023, 0.561, 0.228)
F (0.023, 0.939, 0.728)
F (0.090, 0.666, 0.637)
F (0.090, 0.834, 0.137)
F (0.101, 0.158, 0.644)
F (0.101, 0.342, 0.144)
F (0.193, 0.594, 0.053)
F (0.193, 0.906, 0.553)
F (0.199, 0.099, 0.056)
F (0.199, 0.401, 0.556)
F (0.266, 0.677, 0.444)
F (0.266, 0.823, 0.944)
F (0.284, 0.175, 0.450)
F (0.284, 0.325, 0.950)
F (0.716, 0.675, 0.050)
F (0.716, 0.825, 0.550)
F (0.734, 0.177, 0.056)
F (0.734, 0.323, 0.556)
F (0.801, 0.599, 0.444)
F (0.801, 0.901, 0.944)
F (0.807, 0.094, 0.447)
F (0.807, 0.406, 0.947)
F (0.899, 0.658, 0.856)
F (0.899, 0.842, 0.356)
F (0.910, 0.166, 0.863)
F (0.910, 0.334, 0.363)
F (0.977, 0.061, 0.272)
F (0.977, 0.439, 0.772)

Values from the calculation:
ΔE_f (eV/f.u.): -18.72

***

Entry from Materials Project: OsOF5 after structural relaxation (r²SCAN).

a b c (Å): 9.206 4.919 8.460
angles (deg): 90.00 90.00 90.00
Atoms (fractional coordinates):
Os (0.128, 0.079, 0.000)
Os (0.372, 0.579, 0.500)
Os (0.628, 0.421, 0.000)
Os (0.872, 0.921, 0.500)
O (0.231, 0.940, 0.857)
O (0.269, 0.440, 0.357)
O (0.731, 0.560, 0.857)
O (0.769, 0.060, 0.357)
F (0.000, 0.256, 0.864)
F (0.000, 0.744, 0.364)
F (0.001, 0.212, 0.514)
F (0.013, 0.231, 0.163)
F (0.235, 0.401, 0.015)
F (0.237, 0.934, 0.167)
F (0.263, 0.434, 0.667)
F (0.265, 0.901, 0.515)
F (0.487, 0.731, 0.663)
F (0.499, 0.712, 0.014)
F (0.500, 0.244, 0.864)
F (0.500, 0.756, 0.364)
F (0.501, 0.288, 0.514)
F (0.513, 0.269, 0.163)
F (0.735, 0.099, 0.015)
F (0.737, 0.566, 0.167)
F (0.763, 0.066, 0.667)
F (0.765, 0.599, 0.515)
F (0.987, 0.769, 0.663)
F (0.999, 0.788, 0.014)

Values from the calculation:
ΔE_f (eV/f.u.): -11.54

***

Entry from Materials Project: Sb2OsO2F14 after structural relaxation (r²SCAN).

a b c (Å): 7.409 8.594 10.063
angles (deg): 96.99 111.41 111.52
Atoms (fractional coordinates):
Sb (0.056, 0.150, 0.320)
Sb (0.414, 0.697, 0.864)
Sb (0.586, 0.303, 0.136)
Sb (0.944, 0.850, 0.680)
Os (0.324, 0.740, 0.253)
Os (0.676, 0.260, 0.747)
O (0.270, 0.736, 0.401)
O (0.486, 0.052, 0.699)
O (0.514, 0.948, 0.301)
O (0.730, 0.264, 0.599)
F (0.015, 0.827, 0.521)
F (0.094, 0.138, 0.146)
F (0.104, 0.783, 0.133)
F (0.138, 0.508, 0.134)
F (0.164, 0.081, 0.764)
F (0.181, 0.475, 0.789)
F (0.183, 0.779, 0.790)
F (0.242, 0.391, 0.392)
F (0.275, 0.083, 0.415)
F (0.372, 0.724, 0.046)
F (0.377, 0.377, 0.049)
F (0.393, 0.065, 0.061)
F (0.421, 0.684, 0.679)
F (0.474, 0.346, 0.696)
F (0.526, 0.654, 0.304)
F (0.579, 0.316, 0.321)
F (0.607, 0.935, 0.939)
F (0.623, 0.623, 0.951)
F (0.628, 0.276, 0.954)
F (0.725, 0.917, 0.585)
F (0.758, 0.609, 0.608)
F (0.817, 0.221, 0.210)
F (0.819, 0.525, 0.211)
F (0.836, 0.919, 0.236)
F (0.862, 0.492, 0.866)
F (0.896, 0.217, 0.867)
F (0.906, 0.862, 0.854)
F (0.985, 0.173, 0.479)

Values from the calculation:
ΔE_f (eV/f.u.): -38.91

***

Entry from Materials Project: P2O3F4 after structural relaxation (r²SCAN).

a b c (Å): 12.187 6.410 6.357
angles (deg): 90.00 90.00 90.00
Atoms (fractional coordinates):
P (0.101, 0.190, 0.121)
P (0.101, 0.810, 0.621)
P (0.399, 0.190, 0.621)
P (0.399, 0.810, 0.121)
P (0.601, 0.190, 0.879)
P (0.601, 0.810, 0.379)
P (0.899, 0.190, 0.379)
P (0.899, 0.810, 0.879)
O (0.000, 0.271, 0.250)
O (0.000, 0.729, 0.750)
O (0.112, 0.030, 0.580)
O (0.112, 0.970, 0.080)
O (0.388, 0.030, 0.080)
O (0.388, 0.970, 0.580)
O (0.500, 0.271, 0.750)
O (0.500, 0.729, 0.250)
O (0.612, 0.030, 0.420)
O (0.612, 0.970, 0.920)
O (0.888, 0.030, 0.920)
O (0.888, 0.970, 0.420)
F (0.094, 0.333, 0.929)
F (0.094, 0.667, 0.429)
F (0.196, 0.293, 0.239)
F (0.196, 0.707, 0.739)
F (0.304, 0.293, 0.739)
F (0.304, 0.707, 0.239)
F (0.406, 0.333, 0.429)
F (0.406, 0.667, 0.929)
F (0.594, 0.333, 0.071)
F (0.594, 0.667, 0.571)
F (0.696, 0.293, 0.761)
F (0.696, 0.707, 0.261)
F (0.804, 0.293, 0.261)
F (0.804, 0.707, 0.761)
F (0.906, 0.333, 0.571)
F (0.906, 0.667, 0.071)

Values from the calculation:
ΔE_f (eV/f.u.): -22.38